! SiP2H18C6Br4, relaxed, DFT PBE; values from VASP
! ΔE_f = -36 kJ/mol of atoms
! Crystal system = monoclinic
! Total energy after the MP2020 corrections = -603.07 eV for the cell shown
! Theoretical density = 1.9 g/cm3
&SYSTEM
  ibrav = 0, nat = 124, ntyp = 5
/
ATOMIC_SPECIES
Si 28.09 Si.upf
P 30.97 P.upf
H 1.01 H.upf
C 12.01 C.upf
Br 79.90 Br.upf
ATOMIC_POSITIONS crystal
Si 0.000 0.000 0.000
Si 0.000 0.500 0.500
Si 0.500 0.000 0.000
Si 0.500 0.500 0.500
P 0.077 0.206 0.947
P 0.077 0.294 0.447
P 0.417 0.705 0.384
P 0.417 0.795 0.884
P 0.583 0.205 0.116
P 0.583 0.295 0.616
P 0.923 0.706 0.553
P 0.923 0.794 0.053
H 0.035 0.052 0.365
H 0.035 0.448 0.865
H 0.046 0.608 0.077
H 0.046 0.892 0.577
H 0.056 0.691 0.197
H 0.056 0.809 0.697
H 0.080 0.101 0.793
H 0.080 0.399 0.293
H 0.141 0.164 0.610
H 0.141 0.336 0.110
H 0.161 0.242 0.339
H 0.161 0.258 0.839
H 0.190 0.094 0.523
H 0.190 0.406 0.023
H 0.193 0.076 0.901
H 0.193 0.424 0.401
H 0.231 0.230 0.089
H 0.231 0.270 0.589
H 0.279 0.579 0.261
H 0.279 0.921 0.761
H 0.281 0.740 0.924
H 0.281 0.760 0.424
H 0.305 0.748 0.710
H 0.305 0.752 0.210
H 0.326 0.574 0.885
H 0.326 0.926 0.385
H 0.376 0.586 0.220
H 0.376 0.914 0.720
H 0.387 0.651 0.013
H 0.387 0.849 0.513
H 0.442 0.139 0.564
H 0.442 0.361 0.064
H 0.459 0.557 0.831
H 0.459 0.943 0.331
H 0.475 0.210 0.692
H 0.475 0.290 0.192
H 0.525 0.710 0.808
H 0.525 0.790 0.308
H 0.541 0.057 0.669
H 0.541 0.443 0.169
H 0.558 0.639 0.936
H 0.558 0.861 0.436
H 0.613 0.151 0.487
H 0.613 0.349 0.987
H 0.624 0.086 0.280
H 0.624 0.414 0.780
H 0.674 0.074 0.615
H 0.674 0.426 0.115
H 0.695 0.248 0.790
H 0.695 0.252 0.290
H 0.719 0.240 0.576
H 0.719 0.260 0.076
H 0.721 0.079 0.239
H 0.721 0.421 0.739
H 0.769 0.730 0.411
H 0.769 0.770 0.911
H 0.807 0.576 0.599
H 0.807 0.924 0.099
H 0.810 0.594 0.977
H 0.810 0.906 0.477
H 0.839 0.742 0.161
H 0.839 0.758 0.661
H 0.859 0.664 0.890
H 0.859 0.836 0.390
H 0.920 0.601 0.707
H 0.920 0.899 0.207
H 0.944 0.191 0.303
H 0.944 0.309 0.803
H 0.954 0.108 0.423
H 0.954 0.392 0.923
H 0.965 0.552 0.135
H 0.965 0.948 0.635
C 0.006 0.646 0.122
C 0.006 0.854 0.622
C 0.134 0.154 0.862
C 0.134 0.346 0.362
C 0.169 0.196 0.553
C 0.169 0.304 0.053
C 0.336 0.650 0.256
C 0.336 0.850 0.756
C 0.345 0.678 0.932
C 0.345 0.822 0.432
C 0.498 0.662 0.863
C 0.498 0.838 0.363
C 0.502 0.162 0.637
C 0.502 0.338 0.137
C 0.655 0.178 0.568
C 0.655 0.322 0.068
C 0.664 0.150 0.244
C 0.664 0.350 0.744
C 0.831 0.696 0.947
C 0.831 0.804 0.447
C 0.866 0.654 0.638
C 0.866 0.846 0.138
C 0.994 0.146 0.378
C 0.994 0.354 0.878
Br 0.080 0.690 0.437
Br 0.080 0.810 0.937
Br 0.130 0.512 0.670
Br 0.130 0.988 0.170
Br 0.383 0.502 0.576
Br 0.383 0.998 0.076
Br 0.408 0.192 0.876
Br 0.408 0.308 0.376
Br 0.592 0.692 0.624
Br 0.592 0.808 0.124
Br 0.617 0.002 0.924
Br 0.617 0.498 0.424
Br 0.870 0.012 0.830
Br 0.870 0.488 0.330
Br 0.920 0.190 0.063
Br 0.920 0.310 0.563
CELL_PARAMETERS angstrom
15.271 0.000 0.000
0.000 8.814 0.000
-5.670 0.000 12.996

***

! TcP4H36C12Br2, relaxed, DFT PBE; values from VASP
! ΔE_f = -23 kJ/mol of atoms
! Crystal system = tetragonal
! Total energy after the MP2020 corrections = -281.39 eV for the cell shown
! Theoretical density = 1.4 g/cm3
&SYSTEM
  ibrav = 0, nat = 55, ntyp = 5
/
ATOMIC_SPECIES
Tc 98.00 Tc.upf
P 30.97 P.upf
H 1.01 H.upf
C 12.01 C.upf
Br 79.90 Br.upf
ATOMIC_POSITIONS crystal
Tc 0.000 0.000 0.000
P 0.144 0.144 0.344
P 0.200 0.856 0.000
P 0.800 0.800 0.656
P 0.856 0.200 0.000
H 0.008 0.453 0.332
H 0.059 0.562 0.874
H 0.092 0.251 0.593
H 0.100 0.463 0.211
H 0.110 0.900 0.362
H 0.122 0.677 0.668
H 0.186 0.689 0.126
H 0.251 0.092 0.593
H 0.252 0.890 0.789
H 0.285 0.623 0.000
H 0.311 0.438 0.497
H 0.323 0.992 0.445
H 0.342 0.749 0.841
H 0.377 0.377 0.662
H 0.438 0.311 0.497
H 0.453 0.008 0.332
H 0.463 0.100 0.211
H 0.499 0.658 0.407
H 0.501 0.908 0.159
H 0.537 0.748 0.638
H 0.547 0.878 0.555
H 0.562 0.059 0.874
H 0.623 0.285 0.000
H 0.658 0.499 0.407
H 0.677 0.122 0.668
H 0.689 0.186 0.126
H 0.715 0.715 0.338
H 0.748 0.537 0.638
H 0.749 0.342 0.841
H 0.814 0.941 0.503
H 0.878 0.547 0.555
H 0.890 0.252 0.789
H 0.900 0.110 0.362
H 0.908 0.501 0.159
H 0.941 0.814 0.503
H 0.992 0.323 0.445
C 0.020 0.215 0.445
C 0.181 0.664 0.000
C 0.215 0.020 0.445
C 0.231 0.785 0.805
C 0.336 0.336 0.517
C 0.426 0.980 0.195
C 0.574 0.769 0.555
C 0.664 0.181 0.000
C 0.769 0.574 0.555
C 0.785 0.231 0.805
C 0.819 0.819 0.483
C 0.980 0.426 0.195
Br 0.199 0.199 0.000
Br 0.801 0.801 0.000
CELL_PARAMETERS angstrom
-4.965 4.965 6.546
4.965 -4.965 6.546
4.965 4.965 -6.546

***

! TcP2H18C6Br2, relaxed, DFT PBE; values from VASP
! ΔE_f = -28 kJ/mol of atoms
! Crystal system = monoclinic
! Total energy after the MP2020 corrections = -597.12 eV for the cell shown
! Theoretical density = 1.8 g/cm3
&SYSTEM
  ibrav = 0, nat = 116, ntyp = 5
/
ATOMIC_SPECIES
Tc 98.00 Tc.upf
P 30.97 P.upf
H 1.01 H.upf
C 12.01 C.upf
Br 79.90 Br.upf
ATOMIC_POSITIONS crystal
Tc 0.102 0.898 0.750
Tc 0.323 0.677 0.750
Tc 0.677 0.323 0.250
Tc 0.898 0.102 0.250
P 0.070 0.156 0.379
P 0.156 0.070 0.879
P 0.295 0.537 0.820
P 0.463 0.705 0.680
P 0.537 0.295 0.320
P 0.705 0.463 0.180
P 0.844 0.930 0.121
P 0.930 0.844 0.621
H 0.000 0.121 0.481
H 0.000 0.879 0.519
H 0.014 0.343 0.943
H 0.017 0.420 0.407
H 0.030 0.588 0.784
H 0.059 0.690 0.166
H 0.071 0.677 0.511
H 0.110 0.742 0.102
H 0.121 0.000 0.981
H 0.132 0.197 0.528
H 0.140 0.431 0.710
H 0.150 0.288 0.339
H 0.162 0.713 0.931
H 0.169 0.397 0.807
H 0.197 0.132 0.028
H 0.217 0.292 0.448
H 0.258 0.890 0.398
H 0.271 0.479 0.262
H 0.287 0.838 0.569
H 0.288 0.150 0.839
H 0.288 0.462 0.362
H 0.292 0.217 0.948
H 0.297 0.519 0.951
H 0.310 0.941 0.334
H 0.323 0.929 0.989
H 0.343 0.014 0.443
H 0.354 0.632 0.536
H 0.356 0.575 0.353
H 0.368 0.646 0.964
H 0.397 0.169 0.307
H 0.412 0.970 0.716
H 0.420 0.017 0.907
H 0.425 0.644 0.147
H 0.431 0.140 0.210
H 0.462 0.288 0.862
H 0.479 0.271 0.762
H 0.481 0.703 0.549
H 0.519 0.297 0.451
H 0.521 0.729 0.238
H 0.538 0.712 0.138
H 0.569 0.860 0.790
H 0.575 0.356 0.853
H 0.580 0.983 0.093
H 0.588 0.030 0.284
H 0.603 0.831 0.693
H 0.632 0.354 0.036
H 0.644 0.425 0.647
H 0.646 0.368 0.464
H 0.657 0.986 0.557
H 0.677 0.071 0.011
H 0.690 0.059 0.666
H 0.703 0.481 0.049
H 0.708 0.783 0.052
H 0.712 0.538 0.638
H 0.712 0.850 0.161
H 0.713 0.162 0.431
H 0.729 0.521 0.738
H 0.742 0.110 0.602
H 0.783 0.708 0.552
H 0.803 0.868 0.972
H 0.831 0.603 0.193
H 0.838 0.287 0.069
H 0.850 0.712 0.661
H 0.860 0.569 0.290
H 0.868 0.803 0.472
H 0.879 0.000 0.019
H 0.890 0.258 0.898
H 0.929 0.323 0.489
H 0.941 0.310 0.834
H 0.970 0.412 0.216
H 0.983 0.580 0.593
H 0.986 0.657 0.057
C 0.018 0.735 0.111
C 0.028 0.204 0.479
C 0.119 0.304 0.395
C 0.143 0.483 0.775
C 0.204 0.028 0.979
C 0.265 0.982 0.389
C 0.279 0.612 0.927
C 0.304 0.119 0.895
C 0.344 0.471 0.324
C 0.388 0.721 0.573
C 0.471 0.344 0.824
C 0.483 0.143 0.275
C 0.517 0.857 0.725
C 0.529 0.656 0.176
C 0.612 0.279 0.427
C 0.656 0.529 0.676
C 0.696 0.881 0.105
C 0.721 0.388 0.073
C 0.735 0.018 0.611
C 0.796 0.972 0.021
C 0.857 0.517 0.225
C 0.881 0.696 0.605
C 0.972 0.796 0.521
C 0.982 0.265 0.889
Br 0.075 0.086 0.681
Br 0.086 0.075 0.181
Br 0.320 0.461 0.623
Br 0.461 0.320 0.123
Br 0.539 0.680 0.877
Br 0.680 0.539 0.377
Br 0.914 0.925 0.819
Br 0.925 0.914 0.319
CELL_PARAMETERS angstrom
9.425 -4.946 0.000
9.425 4.946 0.000
-7.611 0.000 16.235

***

! H9PtC3Br, relaxed, DFT PBE; values from VASP
! ΔE_f = -16 kJ/mol of atoms
! Crystal system = monoclinic
! Total energy after the MP2020 corrections = -545.76 eV for the cell shown
! Theoretical density = 3.0 g/cm3
&SYSTEM
  ibrav = 0, nat = 112, ntyp = 4
/
ATOMIC_SPECIES
H 1.01 H.upf
Pt 195.08 Pt.upf
C 12.01 C.upf
Br 79.90 Br.upf
ATOMIC_POSITIONS crystal
H 0.016 0.190 0.467
H 0.018 0.895 0.747
H 0.020 0.020 0.362
H 0.021 0.342 0.410
H 0.038 0.160 0.018
H 0.065 0.626 0.326
H 0.090 0.398 0.955
H 0.105 0.982 0.253
H 0.112 0.668 0.147
H 0.123 0.123 0.908
H 0.140 0.309 0.510
H 0.160 0.038 0.018
H 0.179 0.595 0.429
H 0.182 0.748 0.374
H 0.190 0.016 0.467
H 0.198 0.338 0.865
H 0.206 0.627 0.659
H 0.210 0.768 0.809
H 0.232 0.790 0.191
H 0.248 0.474 0.950
H 0.252 0.818 0.626
H 0.267 0.671 0.094
H 0.273 0.519 0.747
H 0.309 0.140 0.510
H 0.329 0.733 0.906
H 0.332 0.888 0.853
H 0.333 0.522 0.624
H 0.338 0.198 0.865
H 0.342 0.021 0.410
H 0.373 0.794 0.341
H 0.374 0.935 0.674
H 0.398 0.090 0.955
H 0.405 0.821 0.571
H 0.474 0.248 0.950
H 0.478 0.667 0.376
H 0.481 0.727 0.253
H 0.519 0.273 0.747
H 0.522 0.333 0.624
H 0.526 0.752 0.050
H 0.595 0.179 0.429
H 0.602 0.910 0.045
H 0.626 0.065 0.326
H 0.627 0.206 0.659
H 0.658 0.979 0.590
H 0.662 0.802 0.135
H 0.667 0.478 0.376
H 0.668 0.112 0.147
H 0.671 0.267 0.094
H 0.691 0.860 0.490
H 0.727 0.481 0.253
H 0.733 0.329 0.906
H 0.748 0.182 0.374
H 0.752 0.526 0.050
H 0.768 0.210 0.809
H 0.790 0.232 0.191
H 0.794 0.373 0.341
H 0.802 0.662 0.135
H 0.810 0.984 0.533
H 0.818 0.252 0.626
H 0.821 0.405 0.571
H 0.840 0.962 0.982
H 0.860 0.691 0.490
H 0.877 0.877 0.092
H 0.888 0.332 0.853
H 0.895 0.018 0.747
H 0.910 0.602 0.045
H 0.935 0.374 0.674
H 0.962 0.840 0.982
H 0.979 0.658 0.590
H 0.980 0.980 0.638
H 0.982 0.105 0.253
H 0.984 0.810 0.533
Pt 0.199 0.199 0.338
Pt 0.267 0.267 0.047
Pt 0.288 0.563 0.262
Pt 0.437 0.712 0.738
Pt 0.563 0.288 0.262
Pt 0.712 0.437 0.738
Pt 0.733 0.733 0.953
Pt 0.801 0.801 0.662
C 0.060 0.060 0.297
C 0.080 0.268 0.444
C 0.131 0.131 0.990
C 0.164 0.644 0.359
C 0.191 0.382 0.942
C 0.216 0.689 0.162
C 0.268 0.080 0.444
C 0.294 0.580 0.686
C 0.311 0.784 0.838
C 0.356 0.836 0.641
C 0.382 0.191 0.942
C 0.420 0.706 0.314
C 0.580 0.294 0.686
C 0.618 0.809 0.058
C 0.644 0.164 0.359
C 0.689 0.216 0.162
C 0.706 0.420 0.314
C 0.732 0.920 0.556
C 0.784 0.311 0.838
C 0.809 0.618 0.058
C 0.836 0.356 0.641
C 0.869 0.869 0.010
C 0.920 0.732 0.556
C 0.940 0.940 0.703
Br 0.122 0.364 0.196
Br 0.364 0.122 0.196
Br 0.384 0.384 0.386
Br 0.445 0.445 0.134
Br 0.555 0.555 0.866
Br 0.616 0.616 0.614
Br 0.636 0.878 0.804
Br 0.878 0.636 0.804
CELL_PARAMETERS angstrom
7.260 -7.416 0.000
7.260 7.416 0.000
-1.302 0.000 13.358